1.
Compound: ScF3
Source: the Materials Project database
Functional: meta-GGA r2SCAN
Structure: optimized geometry

Computed properties:
Calculated volume ... 16.48 A^3/atom
Energy of formation from the pure elements ... -4.2176 eV/atom

The structure in POSCAR format:
```
ScF3
1.0
4.039 -0.005 0.004
0.004 4.039 0.004
-0.005 -0.005 4.039
F Sc
3 1
direct
0.002 0.998 0.500
0.500 0.002 0.998
0.998 0.500 0.002
0.000 0.000 0.000
```

2.
Compound: Sr2ScF7
Source: the Materials Project database
Functional: meta-GGA r2SCAN
Structure: optimized geometry

Computed properties:
Calculated volume ... 13.63 A^3/atom
Energy of formation from the pure elements ... -4.2414 eV/atom

The structure in POSCAR format:
```
Sr2ScF7
1.0
-5.542 -3.798 -10.183
-3.173 -3.269 2.946
-5.579 6.009 0.796
F Sc Sr
28 4 8
direct
0.138 0.794 0.528
0.231 0.510 0.797
0.074 0.380 0.373
0.105 0.509 0.076
0.269 0.510 0.297
0.426 0.380 0.873
0.895 0.491 0.924
0.246 0.986 0.805
0.769 0.490 0.203
0.731 0.490 0.703
0.039 0.204 0.712
0.539 0.796 0.788
0.896 0.015 0.909
0.746 0.014 0.695
0.638 0.206 0.972
0.362 0.794 0.028
0.104 0.985 0.091
0.754 0.014 0.195
0.395 0.509 0.576
0.605 0.491 0.424
0.926 0.620 0.627
0.574 0.620 0.127
0.254 0.986 0.305
0.961 0.796 0.288
0.862 0.206 0.472
0.604 0.015 0.409
0.396 0.985 0.591
0.461 0.204 0.212
0.625 0.278 0.215
0.125 0.722 0.285
0.875 0.278 0.715
0.375 0.722 0.785
0.221 0.237 0.553
0.721 0.763 0.947
0.279 0.237 0.053
0.938 0.237 0.176
0.562 0.237 0.676
0.779 0.763 0.447
0.438 0.763 0.324
0.062 0.763 0.824
```

3.
Compound: SeF4
Source: the Materials Project database
Functional: meta-GGA r2SCAN
Structure: optimized geometry

Computed properties:
Calculated volume ... 15.38 A^3/atom
Energy of formation from the pure elements ... -1.7607 eV/atom

The structure in POSCAR format:
```
SeF4
1.0
4.992 0.000 0.000
0.000 5.559 0.000
0.000 0.000 11.081
F Se
16 4
direct
0.025 0.822 0.690
0.171 0.641 0.053
0.525 0.678 0.310
0.581 0.581 0.781
0.706 0.426 0.986
0.794 0.574 0.486
0.671 0.859 0.947
0.206 0.074 0.014
0.975 0.322 0.810
0.081 0.919 0.219
0.419 0.081 0.719
0.919 0.419 0.281
0.294 0.926 0.514
0.329 0.359 0.553
0.829 0.141 0.447
0.475 0.178 0.190
0.849 0.603 0.877
0.349 0.897 0.123
0.651 0.397 0.377
0.151 0.103 0.623
```

4.
Compound: TmSeF
Source: the Materials Project database
Functional: meta-GGA r2SCAN
Structure: optimized geometry

Computed properties:
Calculated volume ... 20.30 A^3/atom
Energy of formation from the pure elements ... -3.1670 eV/atom

The structure in POSCAR format:
```
TmSeF
1.0
2.003 -3.469 0.000
2.003 3.469 0.000
0.000 0.000 17.532
Tm Se F
4 4 4
direct
0.333 0.667 0.250
0.000 0.000 0.000
0.667 0.333 0.750
0.000 0.000 0.500
0.333 0.667 0.089
0.667 0.333 0.911
0.333 0.667 0.411
0.667 0.333 0.589
0.333 0.667 0.750
0.000 0.000 0.250
0.667 0.333 0.250
0.000 0.000 0.750
```

5.
Compound: SmF3
Source: the Materials Project database
Functional: meta-GGA r2SCAN
Structure: optimized geometry

Computed properties:
Calculated volume ... 12.77 A^3/atom
Energy of formation from the pure elements ... -4.4683 eV/atom

The structure in POSCAR format:
```
SmF3
1.0
4.377 0.000 0.000
0.000 6.646 0.000
0.000 0.000 7.025
F Sm
12 4
direct
0.575 0.519 0.250
0.894 0.334 0.565
0.894 0.334 0.935
0.925 0.019 0.250
0.394 0.166 0.435
0.075 0.981 0.750
0.106 0.666 0.065
0.425 0.481 0.750
0.106 0.666 0.435
0.606 0.834 0.935
0.394 0.166 0.065
0.606 0.834 0.565
0.434 0.868 0.250
0.566 0.132 0.750
0.066 0.368 0.250
0.934 0.632 0.750
```

6.
Compound: SmZrF7
Source: the Materials Project database
Functional: meta-GGA r2SCAN
Structure: optimized geometry

Computed properties:
Calculated volume ... 15.78 A^3/atom
Energy of formation from the pure elements ... -4.2007 eV/atom
Energy above the lowest structure with this stoichiometry ... 0 meV/atom

The structure in POSCAR format:
```
SmZrF7
1.0
5.724 0.000 0.000
0.000 9.138 0.013
0.000 5.750 10.868
F Sm Zr
28 4 4
direct
0.233 0.478 0.140
0.543 0.255 0.327
0.041 0.715 0.419
0.459 0.715 0.919
0.262 0.975 0.443
0.978 0.731 0.644
0.043 0.745 0.173
0.957 0.255 0.827
0.547 0.718 0.455
0.047 0.282 0.045
0.453 0.282 0.545
0.411 0.965 0.233
0.541 0.285 0.081
0.238 0.975 0.943
0.089 0.965 0.733
0.953 0.718 0.955
0.022 0.269 0.356
0.478 0.269 0.856
0.738 0.025 0.557
0.457 0.745 0.673
0.589 0.035 0.767
0.522 0.731 0.144
0.767 0.522 0.860
0.959 0.285 0.581
0.911 0.035 0.267
0.733 0.522 0.360
0.762 0.025 0.057
0.267 0.478 0.640
0.242 0.186 0.234
0.742 0.814 0.266
0.758 0.814 0.766
0.258 0.186 0.734
0.245 0.727 0.044
0.745 0.273 0.456
0.255 0.727 0.544
0.755 0.273 0.956
```

7.
Compound: SmZrF7
Source: the Materials Project database
Functional: meta-GGA r2SCAN
Structure: optimized geometry

Computed properties:
Calculated volume ... 16.14 A^3/atom
Energy of formation from the pure elements ... -4.1955 eV/atom
Energy above the lowest structure with this stoichiometry ... 5 meV/atom

The structure in POSCAR format:
```
SmZrF7
1.0
-5.008 2.248 -1.901
-2.889 -2.248 4.951
0.693 6.204 5.512
F Sm Zr
14 2 2
direct
0.238 0.734 0.478
0.013 0.098 0.293
0.012 0.934 0.710
0.925 0.946 0.025
0.738 0.266 0.522
0.512 0.066 0.290
0.508 0.558 0.255
0.486 0.450 0.733
0.425 0.054 0.975
0.986 0.550 0.267
0.251 0.642 0.972
0.008 0.442 0.745
0.513 0.902 0.707
0.751 0.358 0.028
0.236 0.844 0.187
0.736 0.156 0.813
0.245 0.688 0.724
0.745 0.312 0.276
```

8.
Compound: SnF3
Source: the Materials Project database
Functional: meta-GGA r2SCAN
Structure: optimized geometry

Computed properties:
Calculated volume ... 20.56 A^3/atom
Energy of formation from the pure elements ... -2.5338 eV/atom

The structure in POSCAR format:
```
SnF3
1.0
-1.755 -5.845 -0.761
4.007 -4.565 0.966
-0.647 -3.678 4.887
F Sn
6 2
direct
0.272 0.728 0.728
0.272 0.272 0.728
0.728 0.728 0.272
0.272 0.728 0.272
0.728 0.272 0.272
0.728 0.272 0.728
0.000 0.000 0.000
0.500 0.500 0.500
```

9.
Compound: Sn3F8
Source: the Materials Project database
Functional: meta-GGA r2SCAN
Structure: optimized geometry

Computed properties:
Calculated volume ... 15.45 A^3/atom
Energy of formation from the pure elements ... -2.5379 eV/atom

The structure in POSCAR format:
```
Sn3F8
1.0
-2.149 -0.376 -4.663
-0.741 -5.207 0.762
-11.173 2.312 4.927
F Sn
16 6
direct
0.833 0.388 0.253
0.333 0.112 0.753
0.169 0.316 0.947
0.309 0.806 0.956
0.831 0.684 0.053
0.331 0.816 0.553
0.667 0.888 0.247
0.191 0.306 0.544
0.167 0.612 0.747
0.155 0.039 0.145
0.691 0.194 0.044
0.655 0.461 0.645
0.345 0.539 0.355
0.845 0.961 0.855
0.809 0.694 0.456
0.669 0.184 0.447
0.500 0.500 0.500
0.020 0.950 0.668
0.480 0.450 0.832
0.000 0.000 0.000
0.980 0.050 0.332
0.520 0.550 0.168
```

10.
Compound: ZnSnF4
Source: the Materials Project database
Functional: meta-GGA r2SCAN
Structure: optimized geometry

Computed properties:
Calculated volume ... 13.46 A^3/atom
Energy of formation from the pure elements ... -2.4543 eV/atom

The structure in POSCAR format:
```
ZnSnF4
1.0
2.497 -3.460 -2.638
4.629 2.742 0.693
-1.729 -2.507 5.902
F Zn Sn
8 2 2
direct
0.433 0.707 0.192
0.273 0.224 0.193
0.231 0.276 0.812
0.607 0.083 0.625
0.896 0.414 0.380
0.016 0.897 0.380
0.070 0.793 0.813
0.488 0.600 0.625
0.252 0.248 0.502
0.751 0.748 0.502
0.490 0.983 0.949
0.014 0.516 0.055
```

11.
Compound: SrF2
Source: the Materials Project database
Functional: meta-GGA r2SCAN
Structure: optimized geometry

Computed properties:
Calculated volume ... 14.69 A^3/atom
Energy of formation from the pure elements ... -4.1822 eV/atom

The structure in POSCAR format:
```
SrF2
1.0
2.433 -2.561 -1.349
4.717 4.073 0.775
1.098 -2.579 6.876
F Sr
8 4
direct
0.750 0.525 0.168
0.750 0.643 0.572
0.750 0.025 0.332
0.250 0.357 0.428
0.250 0.475 0.832
0.250 0.975 0.668
0.250 0.857 0.072
0.750 0.143 0.928
0.250 0.748 0.386
0.250 0.248 0.114
0.750 0.252 0.614
0.750 0.752 0.886
```

12.
Compound: SrF2
Source: the Materials Project database
Functional: meta-GGA r2SCAN
Structure: optimized geometry

Computed properties:
Calculated volume ... 16.25 A^3/atom
Energy of formation from the pure elements ... -4.2088 eV/atom

The structure in POSCAR format:
```
SrF2
1.0
-3.850 -0.620 -1.266
-1.606 -3.771 0.093
-2.930 -0.914 2.719
Sr F
1 2
direct
0.000 0.000 0.000
0.250 0.250 0.250
0.750 0.750 0.750
```

- Which of these has the lowest calculated volume?
  SmF3

- Which of these has the highest calculated volume?
  SnF3

- What is the formula in the first record?
  ScF3

Please write out number 5 again, unchanged.
Compound: SmF3
Source: the Materials Project database
Functional: meta-GGA r2SCAN
Structure: optimized geometry

Computed properties:
Calculated volume ... 12.77 A^3/atom
Energy of formation from the pure elements ... -4.4683 eV/atom

The structure in POSCAR format:
```
SmF3
1.0
4.377 0.000 0.000
0.000 6.646 0.000
0.000 0.000 7.025
F Sm
12 4
direct
0.575 0.519 0.250
0.894 0.334 0.565
0.894 0.334 0.935
0.925 0.019 0.250
0.394 0.166 0.435
0.075 0.981 0.750
0.106 0.666 0.065
0.425 0.481 0.750
0.106 0.666 0.435
0.606 0.834 0.935
0.394 0.166 0.065
0.606 0.834 0.565
0.434 0.868 0.250
0.566 0.132 0.750
0.066 0.368 0.250
0.934 0.632 0.750
```